An optimized crystal structure of MgPO7, computed with GGA-PBE.

The structure in extended XYZ format:
```
72
Lattice="10.034 0.000 0.000 0.000 10.297 0.000 0.000 0.000 10.699" Properties=species:S:1:pos:R:3 pbc="T T T"
Mg 1.994 7.540 6.560
Mg 8.040 2.758 4.139
Mg 8.040 2.391 9.489
Mg 1.994 7.906 1.210
Mg 7.011 7.540 9.489
Mg 7.011 7.906 4.139
Mg 3.023 2.758 1.210
Mg 3.023 2.391 6.560
O 1.603 4.911 0.126
O 7.110 0.459 9.361
O 0.875 7.013 5.075
O 7.941 9.838 4.011
O 5.243 5.066 1.800
O 7.110 4.689 4.011
O 4.208 2.083 2.571
O 5.826 7.232 2.779
O 6.339 1.876 3.920
O 3.414 5.386 5.476
O 3.414 10.060 0.126
O 9.808 5.231 7.149
O 4.208 3.065 7.920
O 7.941 5.608 9.361
O 8.712 8.422 9.269
O 9.159 1.864 0.274
O 6.671 3.917 6.033
O 2.924 9.838 1.338
O 4.142 3.284 10.425
O 1.603 0.238 5.476
O 9.808 10.215 1.800
O 6.671 1.231 0.684
O 8.380 9.066 6.033
O 4.791 10.215 3.550
O 1.322 1.876 1.430
O 0.875 8.433 10.425
O 2.093 4.689 1.338
O 9.225 3.065 8.129
O 2.924 5.608 6.688
O 3.695 7.024 1.430
O 8.380 6.380 0.684
O 6.621 0.238 10.573
O 1.654 3.917 10.016
O 3.363 9.066 10.016
O 5.243 0.083 7.149
O 3.695 8.422 6.780
O 0.226 0.083 8.900
O 4.142 1.864 5.075
O 8.431 5.386 10.573
O 4.791 5.231 8.900
O 3.363 6.380 4.666
O 0.809 7.232 2.571
O 6.621 4.911 5.223
O 1.322 3.273 6.780
O 5.826 8.214 8.129
O 8.431 10.060 5.223
O 9.225 2.083 2.779
O 6.339 3.273 9.269
O 0.809 8.214 7.920
O 5.892 8.433 5.624
O 5.892 7.013 0.274
O 1.654 1.231 4.666
O 9.159 3.284 5.624
O 2.093 0.459 6.688
O 8.712 7.024 3.920
O 0.226 5.066 3.550
P 4.875 3.696 9.140
P 4.875 1.453 3.790
P 0.142 8.845 9.140
P 5.159 8.845 6.909
P 9.892 1.453 1.560
P 5.159 6.602 1.560
P 9.892 3.696 6.909
P 0.142 6.602 3.790
```

Results
The calculation puts the formation energy at -1.198 eV/atom. For the calculated volume, the calculation gives 1105.5 Å³ per cell. The crystal system is orthorhombic. For the spin magnetization, the calculation gives 0.11 μB/atom.